Here is Na4HgP2 after structural relaxation from Materials Project. Energies are from PBE-GGA.

The structure in CIF format:
```
data_Na4HgP2
_space_group_name_H-M_alt 'R -3 m'
_space_group_IT_number 166
_space_group_name_Hall '-R 3 2"'
_cell_length_a 5.0221
_cell_length_b 5.0221
_cell_length_c 25.8122
_cell_angle_alpha 90.00
_cell_angle_beta 90.00
_cell_angle_gamma 120.00
loop_
_atom_site_label
_atom_site_fract_x
_atom_site_fract_y
_atom_site_fract_z
Na1 0.0000 0.0000 0.0972
Na2 0.0000 0.0000 0.2928
Hg1 0.0000 0.0000 0.5000
P1 0.0000 0.0000 0.4063
```

Properties
ρ = 3.1 g/cm³
VASP energy = -0.09905 hartree per atom


Here is Na2HgPb after structural relaxation from Materials Project. Energies are from PBE-GGA.

The structure in CIF format:
```
data_Na2HgPb
_space_group_name_H-M_alt 'C m c m'
_space_group_IT_number 63
_space_group_name_Hall '-C 2c 2'
_cell_length_a 9.7912
_cell_length_b 7.7812
_cell_length_c 6.1693
_cell_angle_alpha 90.00
_cell_angle_beta 90.00
_cell_angle_gamma 90.00
loop_
_atom_site_label
_atom_site_fract_x
_atom_site_fract_y
_atom_site_fract_z
Na1 0.1888 0.1795 0.2500
Hg1 0.0000 0.5000 0.0000
Pb1 0.0000 0.1614 0.7500
```

Properties
ρ = 6.4 g/cm³
VASP energy = -0.06767 hartree per atom


Here is NaPmHg2 after structural relaxation from Materials Project. Energies are from PBE-GGA.

The structure in CIF format:
```
data_NaPmHg2
_space_group_name_H-M_alt 'F m -3 m'
_space_group_IT_number 225
_space_group_name_Hall '-F 4 2 3'
_cell_length_a 7.4537
_cell_length_b 7.4537
_cell_length_c 7.4537
_cell_angle_alpha 90.00
_cell_angle_beta 90.00
_cell_angle_gamma 90.00
loop_
_atom_site_label
_atom_site_fract_x
_atom_site_fract_y
_atom_site_fract_z
Na1 0.0000 0.0000 0.0000
Pm1 0.0000 0.0000 0.5000
Hg1 0.2500 0.2500 0.2500
```

Properties
ρ = 9.1 g/cm³
VASP energy = -0.07493 hartree per atom


Here is Na2Hg3S4 after structural relaxation from Materials Project. Energies are from PBE-GGA.

The structure in CIF format:
```
data_Na2Hg3S4
_space_group_name_H-M_alt 'P b c a'
_space_group_IT_number 61
_space_group_name_Hall '-P 2ac 2ab'
_cell_length_a 7.5813
_cell_length_b 14.2491
_cell_length_c 8.4416
_cell_angle_alpha 90.00
_cell_angle_beta 90.00
_cell_angle_gamma 90.00
loop_
_atom_site_label
_atom_site_fract_x
_atom_site_fract_y
_atom_site_fract_z
Na1 0.0647 0.1068 0.1181
Hg1 0.0000 0.0000 0.5000
Hg2 0.2302 0.6935 0.7780
S1 0.0096 0.7316 0.1066
S2 0.2395 0.0173 0.8465
```

Properties
ρ = 5.7 g/cm³
VASP energy = -0.09978 hartree per atom


Here is NaSmHg2 after structural relaxation from Materials Project. Energies are from PBE-GGA.

The structure in CIF format:
```
data_NaSmHg2
_space_group_name_H-M_alt 'F m -3 m'
_space_group_IT_number 225
_space_group_name_Hall '-F 4 2 3'
_cell_length_a 7.4318
_cell_length_b 7.4318
_cell_length_c 7.4318
_cell_angle_alpha 90.00
_cell_angle_beta 90.00
_cell_angle_gamma 90.00
loop_
_atom_site_label
_atom_site_fract_x
_atom_site_fract_y
_atom_site_fract_z
Na1 0.0000 0.0000 0.0000
Sm1 0.0000 0.0000 0.5000
Hg1 0.2500 0.2500 0.2500
```

Properties
ρ = 9.3 g/cm³
VASP energy = -0.07437 hartree per atom


Here is NaSrHg2 after structural relaxation from Materials Project. Energies are from PBE-GGA.

The structure in CIF format:
```
data_NaSrHg2
_space_group_name_H-M_alt 'F m -3 m'
_space_group_IT_number 225
_space_group_name_Hall '-F 4 2 3'
_cell_length_a 7.8006
_cell_length_b 7.8006
_cell_length_c 7.8006
_cell_angle_alpha 90.00
_cell_angle_beta 90.00
_cell_angle_gamma 90.00
loop_
_atom_site_label
_atom_site_fract_x
_atom_site_fract_y
_atom_site_fract_z
Na1 0.0000 0.0000 0.0000
Sr1 0.0000 0.0000 0.5000
Hg1 0.2500 0.2500 0.2500
```

Properties
ρ = 7.2 g/cm³
VASP energy = -0.04728 hartree per atom